Record 1
{"formula": "LiV2O3F", "functional": "PBE+U", "state": "relaxed", "lattice_angstrom": [[6.780, -4.279, 0.000], [6.780, 4.279, 0.000], [-2.666, 0.000, 5.395]], "species": ["Li", "Li", "Li", "Li", "V", "V", "V", "V", "V", "V", "V", "V", "O", "O", "O", "O", "O", "O", "O", "O", "O", "O", "O", "O", "F", "F", "F", "F"], "frac_coords": [[0.120, 0.880, 0.500], [0.133, 0.390, 0.288], [0.390, 0.133, 0.788], [0.880, 0.120, 0.000], [0.121, 0.628, 0.898], [0.367, 0.905, 0.170], [0.496, 0.511, 0.265], [0.511, 0.496, 0.765], [0.628, 0.121, 0.398], [0.754, 0.759, 0.023], [0.759, 0.754, 0.523], [0.905, 0.367, 0.670], [0.259, 0.749, 0.233], [0.381, 0.412, 0.908], [0.412, 0.381, 0.408], [0.513, 0.990, 0.050], [0.517, 0.985, 0.506], [0.606, 0.644, 0.135], [0.644, 0.606, 0.635], [0.749, 0.259, 0.733], [0.855, 0.876, 0.390], [0.876, 0.855, 0.890], [0.985, 0.517, 0.006], [0.990, 0.513, 0.550], [0.129, 0.135, 0.156], [0.135, 0.129, 0.656], [0.257, 0.750, 0.778], [0.750, 0.257, 0.278]], "space_group": "No. 9", "relative_energy_mev_per_atom": 0}

***

Record 2
{"formula": "SrFeP2O7", "functional": "PBE+U", "state": "relaxed", "lattice_angstrom": [[5.425, 0.000, 0.000], [0.000, 8.391, 0.000], [-5.377, 0.000, 12.917]], "species": ["Sr", "Sr", "Sr", "Sr", "Fe", "Fe", "Fe", "Fe", "P", "P", "P", "P", "P", "P", "P", "P", "O", "O", "O", "O", "O", "O", "O", "O", "O", "O", "O", "O", "O", "O", "O", "O", "O", "O", "O", "O", "O", "O", "O", "O", "O", "O", "O", "O"], "frac_coords": [[0.064, 0.163, 0.278], [0.064, 0.337, 0.778], [0.936, 0.663, 0.222], [0.936, 0.837, 0.722], [0.424, 0.151, 0.605], [0.424, 0.349, 0.105], [0.576, 0.651, 0.895], [0.576, 0.849, 0.395], [0.209, 0.700, 0.020], [0.209, 0.800, 0.520], [0.415, 0.537, 0.666], [0.415, 0.963, 0.166], [0.585, 0.037, 0.834], [0.585, 0.463, 0.334], [0.791, 0.200, 0.480], [0.791, 0.300, 0.980], [0.060, 0.170, 0.471], [0.060, 0.330, 0.971], [0.203, 0.688, 0.909], [0.203, 0.812, 0.409], [0.283, 0.060, 0.792], [0.283, 0.440, 0.292], [0.285, 0.620, 0.733], [0.285, 0.880, 0.233], [0.292, 0.616, 0.552], [0.292, 0.884, 0.052], [0.327, 0.137, 0.152], [0.327, 0.363, 0.652], [0.433, 0.597, 0.097], [0.433, 0.903, 0.597], [0.567, 0.097, 0.403], [0.567, 0.403, 0.903], [0.673, 0.637, 0.348], [0.673, 0.863, 0.848], [0.708, 0.116, 0.948], [0.708, 0.384, 0.448], [0.715, 0.120, 0.767], [0.715, 0.380, 0.267], [0.717, 0.560, 0.708], [0.717, 0.940, 0.208], [0.797, 0.188, 0.591], [0.797, 0.312, 0.091], [0.940, 0.670, 0.029], [0.940, 0.830, 0.529]], "space_group": "No. 14"}

***

Calculated values (meV/atom) of ΔH_f (0 K) for the records, taken in order: -2640; -2824.
Calculated values (eV per cell) of final energy for the records, taken in order: -197.57; -318.50.
Calculated values (Bohr magnetons per cell) of M_tot for the records, taken in order: 16.00; 16.00.